CdSe2 | PBE | optimized geometry

Summary:
The size of the total moment comes out at 0.00 μB/f.u. Its total energy is -0.1092 Ha/atom. For the volume, the calculation gives 307.13 Å³/cell. As for the formation energy: -62.5 kJ per mole of atoms.

a b c (Å): 6.7469 6.7469 6.7469
angles (deg): 90.00 90.00 90.00
Sites, in units of the cell vectors:
Se  0.8975  0.1025  0.6025
Se  0.1025  0.8975  0.3975
Se  0.6025  0.6025  0.6025
Cd  0.0000  0.0000  0.0000
Se  0.6025  0.8975  0.1025
Se  0.8975  0.3975  0.1025
Se  0.3975  0.1025  0.8975
Se  0.3975  0.3975  0.3975
Cd  0.5000  0.5000  0.0000
Cd  0.0000  0.5000  0.5000
Cd  0.5000  0.0000  0.5000
Se  0.1025  0.6025  0.8975

***

Cd3Se | PBE | optimized geometry

Summary:
The size of the total moment comes out at 0.00 μB/f.u. Its total energy is -0.0594 Ha/atom. For the volume, the calculation gives 101.42 Å³/cell. As for the formation energy: -16.3 kJ per mole of atoms.

a b c (Å): 6.7367 6.7367 6.7367
angles (deg): 144.73 144.73 50.74
Sites, in units of the cell vectors:
Cd  0.7500  0.2500  0.5000
Cd  0.5000  0.5000  0.0000
Se  0.0000  0.0000  0.0000
Cd  0.2500  0.7500  0.5000

***

Cd2TeSe | PBE | optimized geometry

Summary:
As for the excess energy over the best structure of this formula in the dataset: 8.7 meV per atom. Its total energy is -0.0970 Ha/atom. For the volume, the calculation gives 132.16 Å³/cell. As for the formation energy: -61.4 kJ per mole of atoms.

a b c (Å): 7.8488 7.8488 7.8488
angles (deg): 33.64 33.64 33.64
Sites, in units of the cell vectors:
Cd  0.5050  0.5050  0.5050
Cd  0.9950  0.9950  0.9950
Te  0.3758  0.3758  0.3758
Se  0.8742  0.8742  0.8742